# KDyO2 PBE relaxed
# Crystal system = trigonal
# MP2020-corrected energy = -7.015 eV/atom
# ΔH_f (0 K) = -3.112 eV per atom
data_KDyO2
_symmetry_space_group_name_H-M 'R -3 m'
_symmetry_Int_Tables_number 166
_symmetry_space_group_name_Hall '-R 3 2"'
_cell_length_a 3.4814
_cell_length_b 3.4814
_cell_length_c 18.7991
_cell_angle_alpha 90.00
_cell_angle_beta 90.00
_cell_angle_gamma 120.00
loop_
_atom_site_label
_atom_site_type_symbol
_atom_site_fract_x
_atom_site_fract_y
_atom_site_fract_z
_atom_site_occupancy
K1 K 0.0000 0.0000 0.0000 1
Dy1 Dy 0.0000 0.0000 0.5000 1
O1 O 0.0000 0.0000 0.2284 1

---

# KDyO3 PBE relaxed
# Crystal system = cubic
# MP2020-corrected energy = -6.408 eV/atom
# ΔH_f (0 K) = -2.296 eV per atom
data_KDyO3
_symmetry_space_group_name_H-M 'P m -3 m'
_symmetry_Int_Tables_number 221
_symmetry_space_group_name_Hall '-P 4 2 3'
_cell_length_a 4.469
_cell_length_b 4.469
_cell_length_c 4.469
_cell_angle_alpha 90.00
_cell_angle_beta 90.00
_cell_angle_gamma 90.00
loop_
_atom_site_label
_atom_site_type_symbol
_atom_site_fract_x
_atom_site_fract_y
_atom_site_fract_z
_atom_site_occupancy
K1 K 0.000 0.000 0.000 1
Dy1 Dy 0.500 0.500 0.500 1
O1 O 0.000 0.500 0.500 1

---

# KDyP4O12 PBE relaxed
# Crystal system = monoclinic
# MP2020-corrected energy = -7.740 eV/atom
# ΔH_f (0 K) = -2.921 eV per atom
data_KDyP4O12
_symmetry_space_group_name_H-M 'C 1 2/c 1'
_symmetry_Int_Tables_number 15
_cell_length_a 7.977
_cell_length_b 12.632
_cell_length_c 10.578
_cell_angle_alpha 90.00
_cell_angle_beta 111.21
_cell_angle_gamma 90.00
loop_
_symmetry_equiv_pos_as_xyz
'x,y,z'
'-x,-y,-z'
'-x,y,-z+1/2'
'x,-y,z+1/2'
'x+1/2,y+1/2,z'
'-x+1/2,-y+1/2,-z'
'-x+1/2,y+1/2,-z+1/2'
'x+1/2,-y+1/2,z+1/2'
loop_
_atom_site_label
_atom_site_type_symbol
_atom_site_fract_x
_atom_site_fract_y
_atom_site_fract_z
_atom_site_occupancy
K1 K 0.000 0.189 0.250 1
Dy1 Dy 0.000 0.120 0.750 1
P1 P 0.046 0.332 0.994 1
P2 P 0.223 0.473 0.449 1
O1 O 0.049 0.248 0.608 1
O2 O 0.075 0.432 0.911 1
O3 O 0.100 0.371 0.441 1
O4 O 0.148 0.013 0.408 1
O5 O 0.209 0.037 0.665 1
O6 O 0.211 0.304 0.113 1

---

# KDyP4O12 PBE relaxed
# Crystal system = monoclinic
# MP2020-corrected energy = -7.741 eV/atom
# ΔH_f (0 K) = -2.922 eV per atom
data_KDyP4O12
_symmetry_space_group_name_H-M 'P 1 21/c 1'
_symmetry_Int_Tables_number 14
_cell_length_a 10.429
_cell_length_b 8.988
_cell_length_c 12.817
_cell_angle_alpha 90.00
_cell_angle_beta 124.88
_cell_angle_gamma 90.00
loop_
_symmetry_equiv_pos_as_xyz
'x,y,z'
'-x,-y,-z'
'-x,y+1/2,-z+1/2'
'x,-y+1/2,z+1/2'
loop_
_atom_site_label
_atom_site_type_symbol
_atom_site_fract_x
_atom_site_fract_y
_atom_site_fract_z
_atom_site_occupancy
K1 K 0.244 0.068 0.040 1
Dy1 Dy 0.315 0.726 0.815 1
P1 P 0.023 0.025 0.274 1
P2 P 0.199 0.610 0.022 1
P3 P 0.323 0.171 0.363 1
P4 P 0.391 0.091 0.743 1
O1 O 0.038 0.547 0.897 1
O2 O 0.067 0.585 0.712 1
O3 O 0.137 0.593 0.306 1
O4 O 0.152 0.158 0.338 1
O5 O 0.164 0.712 0.095 1
O6 O 0.268 0.047 0.596 1
O7 O 0.280 0.208 0.754 1
O8 O 0.299 0.665 0.981 1
O9 O 0.365 0.029 0.328 1
O10 O 0.427 0.542 0.327 1
O11 O 0.428 0.240 0.493 1
O12 O 0.476 0.675 0.742 1

---

# KDySe2O8 PBE relaxed
# Crystal system = orthorhombic
# MP2020-corrected energy = -6.372 eV/atom
# ΔH_f (0 K) = -2.014 eV per atom
data_KDySe2O8
_symmetry_space_group_name_H-M 'P n a 21'
_symmetry_Int_Tables_number 33
_cell_length_a 27.833
_cell_length_b 5.723
_cell_length_c 9.106
_cell_angle_alpha 90.00
_cell_angle_beta 90.00
_cell_angle_gamma 90.00
loop_
_symmetry_equiv_pos_as_xyz
'x,y,z'
'-x,-y,z+1/2'
'-x+1/2,y+1/2,z+1/2'
'x+1/2,-y+1/2,z'
loop_
_atom_site_label
_atom_site_type_symbol
_atom_site_fract_x
_atom_site_fract_y
_atom_site_fract_z
_atom_site_occupancy
K1 K 0.082 0.245 0.000 1
K2 K 0.167 0.716 0.334 1
Dy1 Dy 0.053 0.223 0.469 1
Dy2 Dy 0.199 0.675 0.873 1
Se1 Se 0.044 0.763 0.268 1
Se2 Se 0.067 0.732 0.739 1
Se3 Se 0.183 0.190 0.606 1
Se4 Se 0.208 0.210 0.072 1
O1 O 0.009 0.834 0.412 1
O2 O 0.011 0.688 0.802 1
O3 O 0.017 0.746 0.105 1
O4 O 0.072 0.005 0.673 1
O5 O 0.076 0.519 0.293 1
O6 O 0.076 0.541 0.604 1
O7 O 0.083 0.991 0.267 1
O8 O 0.107 0.699 0.874 1
O9 O 0.143 0.201 0.470 1
O10 O 0.168 0.384 0.735 1
O11 O 0.171 0.446 0.076 1
O12 O 0.173 0.978 0.029 1
O13 O 0.183 0.921 0.679 1
O14 O 0.230 0.168 0.239 1
O15 O 0.238 0.257 0.543 1
O16 O 0.245 0.276 0.936 1

---

# K3DySi2O7 PBE relaxed
# Crystal system = hexagonal
# MP2020-corrected energy = -7.193 eV/atom
# ΔH_f (0 K) = -3.084 eV per atom
data_K3DySi2O7
_symmetry_space_group_name_H-M 'P 63/m c m'
_symmetry_Int_Tables_number 193
_symmetry_space_group_name_Hall '-P 6c 2'
_cell_length_a 9.9589
_cell_length_b 9.9589
_cell_length_c 14.4962
_cell_angle_alpha 90.00
_cell_angle_beta 90.00
_cell_angle_gamma 120.00
loop_
_atom_site_label
_atom_site_type_symbol
_atom_site_fract_x
_atom_site_fract_y
_atom_site_fract_z
_atom_site_occupancy
K1 K 0.0000 0.0000 0.0000 1
K2 K 0.0000 0.3320 0.0916 1
K3 K 0.3333 0.6667 0.2500 1
Dy1 Dy 0.0000 0.0000 0.2500 1
Dy2 Dy 0.3333 0.6667 0.0000 1
Si1 Si 0.0000 0.3416 0.6428 1
O1 O 0.0000 0.1772 0.6480 1
O2 O 0.0000 0.4079 0.7500 1
O3 O 0.1554 0.4773 0.5917 1

---

# KDyTiO4 PBE relaxed
# Crystal system = orthorhombic
# MP2020-corrected energy = -8.169 eV/atom
# ΔH_f (0 K) = -3.397 eV per atom
data_KDyTiO4
_symmetry_space_group_name_H-M 'P b c m'
_symmetry_Int_Tables_number 57
_cell_length_a 12.925
_cell_length_b 5.516
_cell_length_c 5.393
_cell_angle_alpha 90.00
_cell_angle_beta 90.00
_cell_angle_gamma 90.00
loop_
_symmetry_equiv_pos_as_xyz
'x,y,z'
'-x,-y,-z'
'-x,-y,z+1/2'
'x,y,-z+1/2'
'x,-y+1/2,-z'
'-x,y+1/2,z'
'-x,y+1/2,-z+1/2'
'x,-y+1/2,z+1/2'
loop_
_atom_site_label
_atom_site_type_symbol
_atom_site_fract_x
_atom_site_fract_y
_atom_site_fract_z
_atom_site_occupancy
K1 K 0.095 0.022 0.250 1
Dy1 Dy 0.398 0.028 0.250 1
Ti1 Ti 0.255 0.508 0.250 1
O1 O 0.120 0.540 0.250 1
O2 O 0.271 0.250 0.000 1
O3 O 0.301 0.750 0.000 1
O4 O 0.439 0.072 0.750 1

---

# KDyS2 PBE relaxed
# Crystal system = trigonal
# MP2020-corrected energy = -5.630 eV/atom
# ΔH_f (0 K) = -2.132 eV per atom
data_KDyS2
_symmetry_space_group_name_H-M 'R -3 m'
_symmetry_Int_Tables_number 166
_symmetry_space_group_name_Hall '-R 3 2"'
_cell_length_a 4.0540
_cell_length_b 4.0540
_cell_length_c 22.0987
_cell_angle_alpha 90.00
_cell_angle_beta 90.00
_cell_angle_gamma 120.00
loop_
_atom_site_label
_atom_site_type_symbol
_atom_site_fract_x
_atom_site_fract_y
_atom_site_fract_z
_atom_site_occupancy
K1 K 0.0000 0.0000 0.0000 1
Dy1 Dy 0.0000 0.0000 0.5000 1
S1 S 0.0000 0.0000 0.2338 1